# 1
{"formula": "Cs2BaCl4", "functional": "PBE", "state": "optimized geometry", "sg": "I-42d", "corrected_energy_ev_per_atom": -4.11, "e_form_mev_per_atom": -2520, "vol_a3_per_atom": 36.01, "lattice_angstrom": [[-4.9484, 4.9484, 5.1465], [4.9484, -4.9484, 5.1465], [4.9484, 4.9484, -5.1465]], "species": ["Cs", "Cs", "Cs", "Cs", "Ba", "Ba", "Cl", "Cl", "Cl", "Cl", "Cl", "Cl", "Cl", "Cl"], "frac_coords": [[0.3750, 0.2323, 0.3573], [0.7677, 0.1250, 0.1427], [0.8750, 0.0177, 0.6427], [0.9823, 0.6250, 0.8573], [0.2500, 0.7500, 0.5000], [0.5000, 0.5000, 0.0000], [0.1498, 0.4051, 0.1219], [0.1551, 0.3998, 0.6219], [0.2832, 0.0279, 0.8781], [0.4668, 0.8449, 0.2447], [0.5949, 0.7168, 0.7447], [0.6002, 0.2221, 0.7553], [0.7779, 0.5332, 0.3781], [0.9721, 0.8502, 0.2553]]}

---

# 2
{"formula": "K2TeH6SeO10", "functional": "PBE", "state": "optimized geometry", "sg": "Cc", "corrected_energy_ev_per_atom": -5.43, "e_form_mev_per_atom": -1497, "vol_a3_per_atom": 12.83, "lattice_angstrom": [[5.8581, -3.2629, 0.0000], [5.8581, 3.2629, 0.0000], [-3.9749, 0.0000, 13.4211]], "species": ["K", "K", "K", "K", "Te", "Te", "H", "H", "H", "H", "H", "H", "H", "H", "H", "H", "H", "H", "Se", "Se", "O", "O", "O", "O", "O", "O", "O", "O", "O", "O", "O", "O", "O", "O", "O", "O", "O", "O", "O", "O"], "frac_coords": [[0.0859, 0.5119, 0.7854], [0.1950, 0.8050, 0.5000], [0.5119, 0.0859, 0.2854], [0.8050, 0.1950, 0.0000], [0.1497, 0.6471, 0.1455], [0.6471, 0.1497, 0.6455], [0.0156, 0.6043, 0.2845], [0.0270, 0.0564, 0.7539], [0.0564, 0.0270, 0.2539], [0.2466, 0.2660, 0.0398], [0.2660, 0.2466, 0.5398], [0.2859, 0.6852, 0.0074], [0.5349, 0.5767, 0.7116], [0.5767, 0.5349, 0.2116], [0.6043, 0.0156, 0.7845], [0.6852, 0.2859, 0.5074], [0.7250, 0.7639, 0.0762], [0.7639, 0.7250, 0.5762], [0.4318, 0.8662, 0.8959], [0.8662, 0.4318, 0.3959], [0.1280, 0.4084, 0.4487], [0.1351, 0.6925, 0.0099], [0.1405, 0.3527, 0.0937], [0.1615, 0.9388, 0.1996], [0.1633, 0.6027, 0.2808], [0.1636, 0.8997, 0.8478], [0.3527, 0.1405, 0.5937], [0.4084, 0.1280, 0.9487], [0.4664, 0.4951, 0.6551], [0.4951, 0.4664, 0.1551], [0.5476, 0.6787, 0.9804], [0.6027, 0.1633, 0.7808], [0.6056, 0.7614, 0.8058], [0.6787, 0.5476, 0.4804], [0.6925, 0.1351, 0.5099], [0.7614, 0.6056, 0.3058], [0.8040, 0.8347, 0.1329], [0.8347, 0.8040, 0.6329], [0.8997, 0.1636, 0.3478], [0.9388, 0.1615, 0.6996]]}

---

# 3
{"formula": "Gd2CuRu", "functional": "PBE", "state": "optimized geometry", "sg": "Fm-3m", "e_form_mev_per_atom": -288, "vol_a3_per_atom": 20.59, "lattice_angstrom": [[0.0000, 3.4530, 3.4530], [3.4530, 0.0000, 3.4530], [3.4530, 3.4530, 0.0000]], "species": ["Gd", "Gd", "Cu", "Ru"], "frac_coords": [[0.2500, 0.2500, 0.2500], [0.7500, 0.7500, 0.7500], [0.0000, 0.0000, 0.0000], [0.5000, 0.5000, 0.5000]]}

---

# 4
{"formula": "Pu3Ta", "functional": "PBE", "state": "optimized geometry", "sg": "Pm-3m", "e_above_lowest_polymorph_ev_per_atom": 0.853, "e_form_mev_per_atom": 1058, "vol_a3_per_atom": 18.51, "lattice_angstrom": [[4.1994, 0.0000, 0.0000], [0.0000, 4.1994, 0.0000], [0.0000, 0.0000, 4.1994]], "species": ["Pu", "Pu", "Pu", "Ta"], "frac_coords": [[0.0000, 0.0000, 0.5000], [0.0000, 0.5000, 0.0000], [0.5000, 0.0000, 0.0000], [0.5000, 0.5000, 0.5000]]}

---

# 5
{"formula": "MgTa4Cu2O12", "functional": "PBE", "state": "optimized geometry", "sg": "P-4", "e_above_lowest_polymorph_ev_per_atom": 0.108, "corrected_energy_ev_per_atom": -8.80, "e_form_mev_per_atom": -2660, "vol_a3_per_atom": 12.30, "lattice_angstrom": [[5.0789, 0.0000, 0.0000], [0.0000, 5.0789, 0.0000], [0.0000, 0.0000, 9.0607]], "species": ["Mg", "Ta", "Ta", "Ta", "Ta", "Cu", "Cu", "O", "O", "O", "O", "O", "O", "O", "O", "O", "O", "O", "O"], "frac_coords": [[0.0000, 0.0000, 0.0000], [0.0000, 0.5000, 0.5625], [0.0000, 0.5000, 0.9006], [0.5000, 0.0000, 0.0994], [0.5000, 0.0000, 0.4375], [0.0000, 0.5000, 0.2559], [0.5000, 0.0000, 0.7441], [0.1721, 0.3110, 0.7462], [0.2181, 0.2848, 0.4335], [0.2224, 0.2785, 0.0627], [0.2785, 0.7776, 0.9373], [0.2848, 0.7819, 0.5665], [0.3110, 0.8279, 0.2538], [0.6890, 0.1721, 0.2538], [0.7152, 0.2181, 0.5665], [0.7215, 0.2224, 0.9373], [0.7776, 0.7215, 0.0627], [0.7819, 0.7152, 0.4335], [0.8279, 0.6890, 0.7462]]}

---

# 6
{"formula": "CaAl2SiO6", "functional": "PBE", "state": "optimized geometry", "sg": "Cc", "e_above_lowest_polymorph_ev_per_atom": 0.034, "corrected_energy_ev_per_atom": -7.86, "e_form_mev_per_atom": -3394, "vol_a3_per_atom": 10.88, "lattice_angstrom": [[4.8758, -4.3594, 0.0000], [4.8758, 4.3594, 0.0000], [-1.4703, 0.0000, 5.1177]], "species": ["Ca", "Ca", "Al", "Al", "Al", "Al", "Si", "Si", "O", "O", "O", "O", "O", "O", "O", "O", "O", "O", "O", "O"], "frac_coords": [[0.1866, 0.8134, 0.5000], [0.8134, 0.1866, 0.0000], [0.4205, 0.6011, 0.0204], [0.6011, 0.4205, 0.5204], [0.7005, 0.8970, 0.4676], [0.8970, 0.7005, 0.9676], [0.1288, 0.3206, 0.5428], [0.3206, 0.1288, 0.0428], [0.1521, 0.5994, 0.0792], [0.1532, 0.1760, 0.7721], [0.1760, 0.1532, 0.2721], [0.3098, 0.4890, 0.6341], [0.3996, 0.8857, 0.9616], [0.4890, 0.3098, 0.1341], [0.5350, 0.6819, 0.3820], [0.5994, 0.1521, 0.5792], [0.6819, 0.5350, 0.8820], [0.8493, 0.8997, 0.2315], [0.8857, 0.3996, 0.4616], [0.8997, 0.8493, 0.7315]]}